1.
First-principles (PBE) data for a relaxed structure of CaB3O6, as listed in the Materials Project.

Computed properties:
Volume ... 10.76 Å³ per atom
Total energy ... -7.5991 eV per atom
Distance to the lowest polymorph of the same formula ... 0 meV/atom

Unit cell a=13.7174 b=7.0288 c=4.4630 alpha=90.00 beta=90.00 gamma=90.00
Closest atoms and distances in Å follow each position.
Space group Pna2_1 (No. 33)
Inequivalent atoms, fractional coordinates:
1 Ca 0.0908 0.2263 0.0000  5 O 2.33-2.50
2 B 0.0742 0.7142 0.0485  4 O 1.45-1.51
3 B 0.1459 0.8447 0.5562  4 O 1.44-1.51
4 B 0.2311 0.5971 0.8497  3 O 1.38
5 O 0.0254 0.3220 0.4580  1 B 1.45
6 O 0.0734 0.7612 0.3645  2 B 1.44-1.45
7 O 0.0965 0.8832 0.8531  2 B 1.51
8 O 0.1448 0.5543 0.9912  2 B 1.38-1.50
9 O 0.1787 0.0273 0.4284  2 B 1.38-1.48
10 O 0.2332 0.7251 0.6152  2 B 1.38-1.49



2.
First-principles (PBE) data for a relaxed structure of Bi6PtBr10, as listed in the Materials Project.

Computed properties:
Volume ... 38.34 Å³ per atom
Total energy ... -3.3221 eV per atom

Unit cell a=17.6417 b=27.5912 c=10.7130 alpha=90.00 beta=90.00 gamma=90.00
Closest atoms and distances in Å follow each position.
Space group Pnma (No. 62)
Inequivalent atoms, fractional coordinates:
1 Bi 0.0591 0.0628 0.1740  1 Pt 2.75, 2 Br 2.90-2.91
2 Bi 0.0712 0.5749 0.1261  1 Pt 2.77, 3 Br 2.87-2.94
3 Bi 0.0852 0.2500 0.2001  1 Pt 2.74, 2 Br 2.81
4 Bi 0.1250 0.0099 0.8464  1 Pt 2.76, 3 Br 2.83-2.94
5 Bi 0.1454 0.1810 0.8861  1 Pt 2.76, 2 Br 2.84-2.90
6 Bi 0.1647 0.7500 0.3898  1 Pt 2.78, 4 Br 2.90-2.98
7 Bi 0.2244 0.6806 0.6876  1 Pt 2.75, 3 Br 2.88-3.02
8 Pt 0.0000 0.0000 0.0000  6 Bi 2.75-2.77
9 Pt 0.2075 0.2500 0.0420  6 Bi 2.74-2.78
10 Br 0.0011 0.1567 0.0478  4 Bi 3.10-3.39
11 Br 0.0556 0.0883 0.6994  2 Bi 2.94
12 Br 0.0605 0.2500 0.7371  2 Bi 2.90
13 Br 0.0706 0.5541 0.6599  2 Bi 2.83-2.91
14 Br 0.0883 0.6772 0.5393  2 Bi 2.88-2.90
15 Br 0.1394 0.1767 0.3581  2 Bi 2.81-3.02
16 Br 0.1440 0.5120 0.3032  2 Bi 2.87-2.90
17 Br 0.1582 0.7500 0.8566  2 Bi 2.88
18 Br 0.2048 0.0905 0.0308  4 Bi 3.09-3.29
19 Br 0.2046 0.5709 0.9645  2 Bi 2.92
20 Br 0.2290 0.6744 0.2211  2 Bi 2.84-2.98



3.
First-principles (PBE) data for a relaxed structure of Cs2Sb, as listed in the Materials Project.

Computed properties:
Volume ... 50.65 Å³ per atom
Total energy ... -2.3501 eV per atom

Unit cell a=16.4759 b=6.4970 c=11.3561 alpha=90.00 beta=90.00 gamma=90.00
Closest atoms and distances in Å follow each position.
Space group Pnma (No. 62)
Inequivalent atoms, fractional coordinates:
1 Cs 0.0069 0.2500 0.1671  3 Sb 3.98-4.17, 5 Cs 4.17-4.41
2 Cs 0.0602 0.7500 0.4133  4 Sb 3.71-4.05, 1 Cs 3.88
3 Cs 0.2045 0.2500 0.9057  4 Cs 3.82-3.88, 4 Sb 3.94-4.25
4 Cs 0.2448 0.7500 0.7391  4 Cs 3.82-4.17, 6 Sb 3.97-4.25
5 Sb 0.1565 0.7500 0.0907  1 Sb 2.97
6 Sb 0.1644 0.2500 0.5633  1 Sb 2.97